No. 1
# r2SCAN GdBiPt, optimized geometry
# Density ... 12.1 g cm⁻³
# Calculated formation energy ... -1.124 eV per atom
# VASP energy ... -52.253 eV/atom
# Magnetic moment ... 2.335 μB per atom
data_GdBiPt
_chemical_formula_sum 'Gd4 Bi4 Pt4'
_cell_length_a 6.749
_cell_length_b 6.749
_cell_length_c 6.749
_cell_angle_alpha 90.00
_cell_angle_beta 90.00
_cell_angle_gamma 90.00
_space_group_name_H-M_alt 'F -4 3 m'
_space_group_IT_number 216
_space_group_name_Hall 'F -4 2 3'
loop_
_atom_site_label
_atom_site_fract_x
_atom_site_fract_y
_atom_site_fract_z
Gd1 0.000 0.000 0.000
Bi1 0.000 0.000 0.500
Pt1 0.250 0.250 0.750

---

No. 2
# r2SCAN V3Os, optimized geometry
# Density ... 10.7 g cm⁻³
# Calculated formation energy ... -0.419 eV per atom
# VASP energy ... -24.232 eV/atom
# Magnetic moment ... 0.000 μB per atom
data_V3Os
_chemical_formula_sum 'V12 Os4'
_cell_length_a 5.971
_cell_length_b 5.971
_cell_length_c 5.971
_cell_angle_alpha 90.00
_cell_angle_beta 90.00
_cell_angle_gamma 90.00
_space_group_name_H-M_alt 'F m -3 m'
_space_group_IT_number 225
_space_group_name_Hall '-F 4 2 3'
loop_
_atom_site_label
_atom_site_fract_x
_atom_site_fract_y
_atom_site_fract_z
V1 0.000 0.000 0.000
V2 0.250 0.250 0.250
Os1 0.000 0.000 0.500

---

No. 3
# r2SCAN PrSmZn2, optimized geometry
# Density ... 7.2 g cm⁻³
# Calculated formation energy ... -0.330 eV per atom
# VASP energy ... -19.570 eV/atom
# Magnetic moment ... 0.000 μB per atom
data_PrSmZn2
_chemical_formula_sum 'Pr4 Sm4 Zn8'
_cell_length_a 7.314
_cell_length_b 7.314
_cell_length_c 7.314
_cell_angle_alpha 90.00
_cell_angle_beta 90.00
_cell_angle_gamma 90.00
_space_group_name_H-M_alt 'F m -3 m'
_space_group_IT_number 225
_space_group_name_Hall '-F 4 2 3'
loop_
_atom_site_label
_atom_site_fract_x
_atom_site_fract_y
_atom_site_fract_z
Pr1 0.000 0.000 0.000
Sm1 0.000 0.000 0.500
Zn1 0.250 0.250 0.250

---

No. 4
# r2SCAN Dy3Y, optimized geometry
# Density ... 7.4 g cm⁻³
# Calculated formation energy ... 0.015 eV per atom
# Relative energy among the computed polymorphs ... 0.000 eV/atom
# VASP energy ... -29.050 eV/atom
# Magnetic moment ... 0.000 μB per atom
data_Dy3Y
_chemical_formula_sum 'Dy6 Y2'
_cell_length_a 7.2969
_cell_length_b 7.2969
_cell_length_c 5.6100
_cell_angle_alpha 90.00
_cell_angle_beta 90.00
_cell_angle_gamma 120.00
_space_group_name_H-M_alt 'P 63/m m c'
_space_group_IT_number 194
_space_group_name_Hall '-P 6c 2c'
loop_
_atom_site_label
_atom_site_fract_x
_atom_site_fract_y
_atom_site_fract_z
Dy1 0.1662 0.3324 0.2500
Y1 0.3333 0.6667 0.7500

---

No. 5
# r2SCAN Er2BiO2, optimized geometry
# Density ... 9.8 g cm⁻³
# Calculated formation energy ... -2.998 eV per atom
# VASP energy ... -30.658 eV/atom
# Magnetic moment ... 0.000 μB per atom
data_Er2BiO2
_chemical_formula_sum 'Er4 Bi2 O4'
_cell_length_a 3.822
_cell_length_b 3.822
_cell_length_c 13.331
_cell_angle_alpha 90.00
_cell_angle_beta 90.00
_cell_angle_gamma 90.00
_space_group_name_H-M_alt 'I 4/m m m'
_space_group_IT_number 139
_space_group_name_Hall '-I 4 2'
loop_
_atom_site_label
_atom_site_fract_x
_atom_site_fract_y
_atom_site_fract_z
Er1 0.000 0.000 0.169
Bi1 0.000 0.000 0.500
O1 0.000 0.500 0.250

---

No. 6
# r2SCAN MoO3, optimized geometry
# Density ... 4.7 g cm⁻³
# Calculated formation energy ... -1.997 eV per atom
# VASP energy ... -12.994 eV/atom
# Magnetic moment ... 0.000 μB per atom
data_MoO3
_chemical_formula_sum 'Mo4 O12'
_cell_length_a 5.299
_cell_length_b 7.380
_cell_length_c 5.161
_cell_angle_alpha 90.00
_cell_angle_beta 90.00
_cell_angle_gamma 90.00
_space_group_name_H-M_alt 'P n m a'
_space_group_IT_number 62
loop_
_space_group_symop_operation_xyz
'x,y,z'
'-x,-y,-z'
'-x+1/2,-y,z+1/2'
'x+1/2,y,-z+1/2'
'x+1/2,-y+1/2,-z+1/2'
'-x+1/2,y+1/2,z+1/2'
'-x,y+1/2,-z'
'x,-y+1/2,z'
loop_
_atom_site_label
_atom_site_fract_x
_atom_site_fract_y
_atom_site_fract_z
Mo1 0.000 0.000 0.000
O1 0.012 0.250 0.084
O2 0.214 0.042 0.711